Material: SrTeO3
Method: DFT, r²SCAN
State: optimized geometry

Results
electronic total energy = -276.524 eV per cell

Structure (POSCAR):
```
SrTeO3
1.0
6.792 0.000 0.000
0.000 7.240 0.000
-5.163 0.000 6.977
Sr Te O
4 4 12
Cartesian
-0.965 0.934 2.578
-3.546 2.686 6.066
5.175 4.553 0.910
2.593 6.306 4.399
-0.581 4.850 4.211
2.001 6.009 0.722
-0.372 1.230 6.254
2.209 2.390 2.766
-4.457 4.961 6.829
-1.876 5.899 3.341
-3.301 0.209 6.526
-0.719 3.411 3.037
-1.541 4.264 5.705
1.040 6.595 2.216
0.588 0.644 4.760
3.170 2.975 1.272
2.348 3.828 3.940
4.930 7.031 0.451
3.505 1.341 3.636
6.086 2.279 0.148
```

=====

Material: SrTeO3
Method: DFT, r²SCAN
State: optimized geometry

Results
electronic total energy = -829.429 eV per cell

Structure (POSCAR):
```
SrTeO3
1.0
14.080 -2.957 0.000
14.080 2.957 0.000
-8.111 0.000 12.955
Sr Te O
12 12 36
Cartesian
0.000 0.000 0.000
-1.753 -0.221 8.501
-3.973 -0.278 11.891
1.996 -0.425 7.911
5.426 -0.380 2.850
3.376 -0.122 11.566
10.024 -0.051 6.477
16.672 -0.122 1.388
14.622 -0.380 10.105
18.052 -0.425 5.044
21.801 -0.221 4.454
24.021 -0.278 1.064
8.223 2.747 8.412
11.825 2.747 4.543
1.856 -0.383 3.664
-0.063 -0.332 11.889
5.844 -0.127 6.477
9.087 -0.274 2.879
12.661 -0.214 1.955
7.387 -0.214 10.999
10.962 -0.274 10.076
14.204 -0.127 6.478
20.112 -0.332 1.066
18.192 -0.383 9.291
4.834 2.100 10.921
10.214 2.262 3.692
2.703 1.363 9.447
8.429 1.906 6.764
1.169 1.025 12.350
7.864 1.055 2.384
5.944 0.948 4.953
9.834 2.262 9.262
11.620 1.906 6.191
15.215 2.100 2.034
0.253 -0.040 10.069
4.021 0.251 6.700
12.261 1.199 0.779
7.787 1.199 12.176
17.345 1.363 3.507
12.184 1.055 10.570
8.472 -0.605 4.601
18.879 1.025 0.605
14.104 0.948 8.001
5.700 -0.839 11.431
1.113 -1.788 12.036
8.179 -1.716 2.101
5.773 -1.784 5.628
3.067 -1.843 9.681
16.027 0.251 6.255
14.348 -0.839 1.523
11.764 -1.534 0.957
11.576 -0.605 8.354
8.579 -1.414 7.964
11.469 -1.414 4.991
19.796 -0.040 2.886
8.284 -1.534 11.998
11.869 -1.716 10.854
14.276 -1.784 7.327
16.981 -1.843 3.274
18.935 -1.788 0.919
```

=====

Material: SrTi11O20
Method: DFT, r²SCAN
State: optimized geometry

Results
electronic total energy = -763.521 eV per cell

Structure (POSCAR):
```
SrTi11O20
1.0
7.140 0.000 0.000
-1.821 7.444 0.000
-0.664 -0.244 13.127
Sr Ti O
2 22 40
Cartesian
-0.217 1.341 3.151
4.872 5.858 9.976
-0.107 2.546 9.361
0.096 4.211 0.923
0.176 3.010 6.391
0.803 0.337 7.381
0.179 1.916 12.024
-1.028 6.622 13.097
-0.325 5.852 5.497
2.091 4.197 3.827
1.572 5.737 8.316
2.851 0.339 10.445
1.658 5.026 11.460
2.997 2.173 1.667
1.804 6.861 2.681
3.083 1.462 4.811
2.563 3.003 9.300
4.980 1.347 7.630
5.683 0.578 0.029
4.476 5.284 1.102
3.852 6.862 5.746
4.479 4.189 6.736
4.559 2.989 12.203
4.761 4.654 3.766
-1.844 5.978 7.005
-0.572 2.351 0.429
-1.259 2.810 10.831
-0.624 0.749 8.757
-1.186 3.963 5.218
-0.576 0.129 11.873
0.730 4.862 6.838
0.121 6.938 8.768
0.125 6.355 11.511
1.323 2.307 7.815
0.714 3.742 12.505
1.394 2.739 4.903
2.028 1.293 0.304
1.441 3.311 2.195
0.819 6.063 1.265
2.036 0.266 5.868
1.424 1.760 10.487
0.919 4.262 9.621
0.894 5.642 4.006
2.326 0.830 3.061
2.329 6.370 10.066
3.760 1.557 9.121
3.736 2.938 3.506
3.231 5.439 2.640
2.619 6.934 7.259
3.836 1.136 11.861
3.214 3.889 10.932
2.627 5.906 12.823
3.260 4.460 8.224
3.941 3.457 0.622
3.332 4.892 5.311
4.530 0.845 1.615
4.534 0.261 4.359
3.925 2.337 6.288
5.230 7.070 1.254
5.840 3.236 7.909
5.278 6.450 4.370
5.914 4.389 2.296
5.227 4.848 12.698
6.499 1.221 6.122
```

=====

Material: Sr3Ti2O7
Method: DFT, r²SCAN
State: optimized geometry

Results
electronic total energy = -153.791 eV per cell

Structure (POSCAR):
```
Sr3Ti2O7
1.0
-1.954 1.954 10.184
1.954 -1.954 10.184
1.954 1.954 -10.184
Sr Ti O
3 2 7
Cartesian
0.000 0.000 0.000
0.000 0.000 3.755
0.000 0.000 16.613
0.000 0.000 8.198
0.000 0.000 12.171
1.954 0.000 1.959
0.000 0.000 6.239
1.954 0.000 8.225
0.000 0.000 10.184
0.000 1.954 1.959
0.000 0.000 14.129
0.000 1.954 8.225
```

=====

Material: Sr4Ti3O10
Method: DFT, r²SCAN
State: optimized geometry

Results
electronic total energy = -217.031 eV per cell

Structure (POSCAR):
```
Sr4Ti3O10
1.0
-1.955 1.955 14.092
1.955 -1.955 14.092
1.955 1.955 -14.092
Sr Ti O
4 3 10
Cartesian
0.000 0.000 1.930
0.000 0.000 5.705
0.000 0.000 22.479
0.000 0.000 26.253
0.000 0.000 10.143
0.000 0.000 14.092
0.000 0.000 18.040
1.955 0.000 0.000
1.955 0.000 3.915
0.000 0.000 8.191
1.955 0.000 10.177
0.000 0.000 12.134
0.000 1.955 0.000
0.000 0.000 16.049
0.000 1.955 3.915
0.000 0.000 19.992
0.000 1.955 10.177
```

=====

Material: Sr2TiO4
Method: DFT, r²SCAN
State: optimized geometry

Results
electronic total energy = -181.001 eV per cell

Structure (POSCAR):
```
Sr2TiO4
1.0
3.896 0.000 0.000
0.000 3.896 0.000
0.000 0.000 12.594
Sr Ti O
4 2 8
Cartesian
0.000 0.000 1.831
0.000 0.000 10.764
1.948 1.948 4.467
1.948 1.948 8.128
0.000 0.000 6.297
1.948 1.948 0.000
0.000 0.000 4.307
0.000 0.000 8.287
0.000 1.948 0.000
0.000 1.948 6.297
1.948 0.000 0.000
1.948 0.000 6.297
1.948 1.948 1.990
1.948 1.948 10.604
```

=====

Material: Sr5U5O18
Method: DFT, r²SCAN
State: optimized geometry

Results
electronic total energy = -683.578 eV per cell

Structure (POSCAR):
```
Sr5U5O18
1.0
6.950 0.000 0.000
-2.313 7.386 0.000
-1.214 -2.064 8.389
Sr U O
5 5 18
Cartesian
0.000 0.000 0.000
-0.037 2.070 3.512
-0.013 4.289 6.750
3.436 1.034 1.640
3.460 3.252 4.877
-1.157 3.693 0.000
-1.179 5.943 3.469
0.963 0.556 6.746
2.460 4.766 1.643
4.602 -0.621 4.921
-1.804 5.013 1.474
-2.445 3.186 7.163
-0.093 -0.110 4.931
-1.099 4.190 4.461
1.108 0.212 2.350
1.011 4.091 0.067
0.963 -1.170 7.791
1.186 2.266 5.734
0.967 5.853 2.926
2.457 -0.531 5.464
2.238 3.056 2.655
2.460 6.492 0.599
2.413 1.231 8.322
2.316 5.110 6.040
4.523 1.132 3.928
3.516 5.432 3.458
5.868 2.136 1.227
5.228 0.310 6.916
```

=====

Material: SrUO4
Method: DFT, r²SCAN
State: optimized geometry

Results
electronic total energy = -559.243 eV per cell

Structure (POSCAR):
```
SrUO4
1.0
5.531 0.000 0.000
0.000 7.970 0.000
0.000 0.000 8.134
Sr U O
4 4 16
Cartesian
0.118 1.570 2.033
0.118 2.415 6.100
5.413 5.555 2.033
5.413 6.400 6.100
2.765 0.000 0.000
2.765 0.000 4.067
2.765 3.985 0.000
2.765 3.985 4.067
1.093 4.630 4.712
1.093 4.630 7.488
1.093 7.325 0.645
1.093 7.325 3.422
1.827 1.992 0.000
1.827 1.992 4.067
2.024 4.253 2.033
2.024 7.702 6.100
3.507 0.268 2.033
3.507 3.717 6.100
3.703 5.977 0.000
3.703 5.977 4.067
4.437 0.645 4.712
4.437 0.645 7.488
4.437 3.340 0.645
4.437 3.340 3.422
```